(1)
This record from the Materials Project describes a relaxed Co3Ni3Te2O16 crystal. The functional is PBE+U.

Cell: 5.8347 5.8347 9.1335 Å, 87.43 87.43 58.72°
Fractional positions:
Te  0.6684  0.6684  0.5088
Te  0.3338  0.3338  0.0087
O  0.1669  0.1669  0.8998
O  0.6499  0.6499  0.8907
O  0.8412  0.8412  0.4101
O  0.1688  0.6755  0.9086
O  0.4680  0.0268  0.1539
O  0.5001  0.9654  0.6546
O  0.9654  0.5001  0.6546
O  0.4781  0.4781  0.1583
O  0.0268  0.4680  0.1539
O  0.3380  0.8385  0.4052
O  0.0152  0.0152  0.6977
O  0.3247  0.3247  0.3813
O  0.0099  0.0099  0.1980
O  0.8385  0.3380  0.4052
O  0.5192  0.5192  0.6666
O  0.6755  0.1688  0.9086
Ni  0.8335  0.8335  0.7905
Ni  0.6657  0.1682  0.2887
Ni  0.1682  0.6657  0.2887
Co  0.3433  0.8360  0.7849
Co  0.8360  0.3433  0.7849
Co  0.1706  0.1706  0.2817

calculated volume: 11.1 A^3/atom
energy of formation: -27.2 eV/f.u.

(2)
This record from the Materials Project describes a relaxed Co3Ni2Te3O16 crystal. The functional is PBE+U.

Cell: 5.8925 5.8925 9.1732 Å, 89.91 89.91 61.19°
Fractional positions:
Ni  0.6790  0.6790  0.4917
Ni  0.3459  0.3459  0.0254
O  0.3375  0.3375  0.3966
O  0.4835  0.0455  0.1640
O  0.8368  0.3227  0.3996
O  0.5246  0.9594  0.6692
O  0.0455  0.4835  0.1640
O  0.9950  0.9950  0.1831
O  0.6786  0.1608  0.8967
O  0.8401  0.8401  0.3847
O  0.9947  0.9947  0.6729
O  0.9594  0.5246  0.6692
O  0.5115  0.5115  0.6622
O  0.3227  0.8368  0.3996
O  0.1670  0.1670  0.8997
O  0.4795  0.4795  0.1771
O  0.1608  0.6786  0.8967
O  0.6702  0.6702  0.9046
Co  0.1688  0.6613  0.2890
Co  0.8311  0.8311  0.7878
Co  0.6613  0.1688  0.2890
Te  0.3359  0.8287  0.7859
Te  0.1650  0.1650  0.2893
Te  0.8287  0.3359  0.7859

calculated volume: 11.6 A^3/atom
polymorph energy (0 for the lowest one): 0.000 eV/atom
energy of formation: -29.1 eV/f.u.

(3)
This record from the Materials Project describes a relaxed Co3Ni2Te3O16 crystal. The functional is PBE+U.

Cell: 5.9432 6.0131 9.1915 Å, 89.96 90.17 119.36°
Fractional positions:
O  0.1458  0.8257  0.8944
O  0.6925  0.3481  0.9087
O  0.1456  0.3171  0.8972
O  0.4774  0.5183  0.1689
O  0.6731  0.8378  0.8989
O  0.9863  0.9925  0.6716
O  0.8487  0.6829  0.3959
O  0.5346  0.4965  0.6656
O  0.9909  0.9783  0.1772
O  0.4664  0.9564  0.1690
O  0.3471  0.6926  0.4049
O  0.0510  0.5246  0.1875
O  0.9752  0.4847  0.6596
O  0.8406  0.1599  0.3923
O  0.3136  0.1582  0.3825
O  0.5364  0.0420  0.6663
Co  0.1662  0.3325  0.2869
Co  0.1699  0.8354  0.2907
Co  0.3366  0.1681  0.7910
Te  0.8356  0.6664  0.7842
Te  0.6660  0.8323  0.2880
Te  0.8362  0.1694  0.7859
Ni  0.3074  0.6541  0.0133
Ni  0.6567  0.3266  0.5038

calculated volume: 11.9 A^3/atom
polymorph energy (0 for the lowest one): 0.008 eV/atom
energy of formation: -28.9 eV/f.u.

(4)
This record from the Materials Project describes a relaxed V4CoNiO12 crystal. The functional is PBE+U.

Cell: 5.8740 6.7982 6.7977 Å, 95.84 74.68 105.32°
Fractional positions:
O  0.8650  0.8078  0.0364
O  0.1401  0.1926  0.9628
O  0.4468  0.6288  0.3501
O  0.3599  0.9627  0.1926
O  0.6350  0.0365  0.8078
O  0.5543  0.3728  0.6488
O  0.7294  0.3813  0.0899
O  0.2740  0.6191  0.9110
O  0.9457  0.6488  0.3728
O  0.2260  0.9111  0.6191
O  0.7706  0.0899  0.3813
O  0.0532  0.3501  0.6288
V  0.7456  0.6126  0.2062
V  0.2444  0.7942  0.3878
V  0.7544  0.2063  0.6126
V  0.2556  0.3879  0.7942
Ni  0.2500  0.9145  0.9145
Co  0.7501  0.0833  0.0832

calculated volume: 14.0 A^3/atom
energy of formation: -38.0 eV/f.u.

(5)
This record from the Materials Project describes a relaxed ZnCoNi2O7 crystal. The functional is PBE+U.

Cell: 13.1431 7.0188 10.9006 Å, 71.05 90.00 90.00°
Fractional positions:
O  0.1150  0.9907  0.8537
O  0.0683  0.6448  0.3451
O  0.8426  0.0085  0.8674
O  0.2450  0.2290  0.2170
O  0.3750  0.5431  0.0940
O  0.3046  0.5877  0.5556
O  0.2278  0.7013  0.7995
O  0.6150  0.0093  0.6463
O  0.5683  0.3552  0.1549
O  0.2727  0.3640  0.9242
O  0.7727  0.6360  0.5758
O  0.7278  0.2987  0.7005
O  0.5706  0.5975  0.6772
O  0.8046  0.4123  0.9444
O  0.9294  0.5975  0.1772
O  0.0379  0.2527  0.2228
O  0.9621  0.7473  0.7772
O  0.1747  0.9080  0.3929
O  0.5265  0.7912  0.0341
O  0.8850  0.0093  0.1463
O  0.1250  0.5431  0.5940
O  0.8750  0.4569  0.4060
O  0.7450  0.7710  0.2830
O  0.3426  0.9915  0.6326
O  0.7273  0.6360  0.0758
O  0.0265  0.2088  0.4659
O  0.6297  0.0111  0.8637
O  0.1297  0.9889  0.6363
O  0.2722  0.7013  0.2995
O  0.1954  0.5877  0.0556
O  0.3703  0.9889  0.1363
O  0.8703  0.0111  0.3637
O  0.7550  0.7710  0.7830
O  0.9317  0.3552  0.6549
O  0.9692  0.6738  0.0593
O  0.4621  0.2527  0.7228
O  0.8253  0.0920  0.6071
O  0.6574  0.0085  0.3674
O  0.4735  0.2088  0.9659
O  0.3850  0.9907  0.3537
O  0.6954  0.4123  0.4444
O  0.6747  0.0920  0.1071
O  0.5379  0.7473  0.2772
O  0.2550  0.2290  0.7170
O  0.4294  0.4025  0.3228
O  0.7722  0.2987  0.2005
O  0.0308  0.3262  0.9407
O  0.5308  0.6738  0.5593
O  0.4692  0.3262  0.4407
O  0.1574  0.9915  0.1326
O  0.0706  0.4025  0.8228
O  0.9735  0.7912  0.5341
O  0.6250  0.4569  0.9060
O  0.3253  0.9080  0.8929
O  0.2273  0.3640  0.4242
O  0.4317  0.6448  0.8451
Ni  0.8470  0.8795  0.5408
Ni  0.3753  0.8313  0.5306
Ni  0.5042  0.4091  0.8209
Ni  0.1530  0.1205  0.4592
Ni  0.0042  0.5909  0.6791
Ni  0.2228  0.4746  0.7379
Ni  0.2772  0.4746  0.2379
Ni  0.4958  0.5909  0.1791
Ni  0.6530  0.8795  0.0408
Ni  0.8753  0.1687  0.9694
Ni  0.1247  0.8313  0.0306
Ni  0.7228  0.5254  0.7621
Ni  0.7772  0.5254  0.2621
Ni  0.9958  0.4091  0.3209
Ni  0.3470  0.1205  0.9592
Ni  0.6247  0.1687  0.4694
Co  0.7774  0.0273  0.2460
Co  0.2774  0.9727  0.2540
Co  0.6848  0.3800  0.0602
Co  0.3152  0.6200  0.9398
Co  0.2226  0.9727  0.7540
Co  0.1848  0.6200  0.4398
Co  0.8152  0.3800  0.5602
Co  0.7226  0.0273  0.7460
Zn  0.0147  0.9477  0.2872
Zn  0.3583  0.3030  0.5767
Zn  0.8583  0.6970  0.9233
Zn  0.4853  0.9477  0.7872
Zn  0.6417  0.6970  0.4233
Zn  0.5147  0.0523  0.2128
Zn  0.1417  0.3030  0.0767
Zn  0.9853  0.0523  0.7128

calculated volume: 10.8 A^3/atom
energy of formation: -5.4 eV/f.u.

(6)
This record from the Materials Project describes a relaxed Co3O4 crystal. The functional is PBE+U.

Cell: 5.8788 5.9395 5.8769 Å, 60.13 59.44 60.12°
Fractional positions:
Co  0.9959  0.0085  0.9958
Co  0.6250  0.1250  0.6250
Co  0.6250  0.6250  0.6250
Co  0.2541  0.2415  0.2542
Co  0.6250  0.6250  0.1250
Co  0.1250  0.6250  0.6250
O  0.4035  0.8786  0.8571
O  0.3894  0.8448  0.3900
O  0.3924  0.3715  0.8466
O  0.8465  0.3714  0.3929
O  0.8585  0.8771  0.8585
O  0.8576  0.8785  0.4034
O  0.8606  0.4052  0.8600
O  0.3915  0.3729  0.3915

calculated volume: 10.3 A^3/atom
polymorph energy (0 for the lowest one): 0.000 eV/atom
energy of formation: -9.1 eV/f.u.